(1)
The following is a PBE with a Hubbard U calculation of PWC5Br3O5 after structural relaxation, from Materials Project.

Spin magnetization, μB/f.u.: 0.00
Mass density, g cm⁻³: 3.05

Unit cell a=6.9660 b=13.7698 c=13.5127 alpha=90.00 beta=92.56 gamma=90.00
Atoms (fractional coordinates):
P1 0.1876 0.1331 0.1650
P2 0.1876 0.3669 0.6650
P3 0.8124 0.6331 0.3350
P4 0.8124 0.8669 0.8350
W1 0.2119 0.1954 0.6054
W2 0.2119 0.3046 0.1054
W3 0.7881 0.6954 0.8946
W4 0.7881 0.8046 0.3946
C1 0.0521 0.6616 0.8351
C2 0.0521 0.8384 0.3351
C3 0.0735 0.2388 0.4722
C4 0.0735 0.2612 0.9722
C5 0.2383 0.0550 0.5550
C6 0.2383 0.4450 0.0550
C7 0.3448 0.1575 0.7418
C8 0.3448 0.3425 0.2418
C9 0.4741 0.2345 0.5475
C10 0.4741 0.2655 0.0475
C11 0.5259 0.7345 0.9525
C12 0.5259 0.7655 0.4525
C13 0.6552 0.6575 0.7582
C14 0.6552 0.8425 0.2582
C15 0.7617 0.5550 0.9450
C16 0.7617 0.9450 0.4450
C17 0.9265 0.7388 0.0278
C18 0.9265 0.7612 0.5278
C19 0.9479 0.1616 0.6649
C20 0.9479 0.3384 0.1649
Br1 0.1003 0.5818 0.2882
Br2 0.1003 0.9182 0.7882
Br3 0.2630 0.0179 0.0578
Br4 0.2630 0.4821 0.5578
Br5 0.3792 0.0932 0.2970
Br6 0.3792 0.4068 0.7970
Br7 0.6208 0.5932 0.2030
Br8 0.6208 0.9068 0.7030
Br9 0.7370 0.5179 0.4422
Br10 0.7370 0.9821 0.9422
Br11 0.8997 0.0818 0.2118
Br12 0.8997 0.4182 0.7118
O1 0.0007 0.7361 0.6022
O2 0.0007 0.7639 0.1022
O3 0.1979 0.6438 0.8010
O4 0.1979 0.8562 0.3010
O5 0.2542 0.5248 0.0274
O6 0.2542 0.9752 0.5274
O7 0.3819 0.7417 0.4852
O8 0.3819 0.7583 0.9852
O9 0.4129 0.1382 0.8193
O10 0.4129 0.3618 0.3193
O11 0.5871 0.6382 0.6807
O12 0.5871 0.8618 0.1807
O13 0.6181 0.2417 0.0148
O14 0.6181 0.2583 0.5148
O15 0.7458 0.0248 0.4726
O16 0.7458 0.4752 0.9726
O17 0.8021 0.1438 0.6990
O18 0.8021 0.3562 0.1990
O19 0.9993 0.2361 0.8978
O20 0.9993 0.2639 0.3978


(2)
The following is a PBE with a Hubbard U calculation of WC4Br2O4 after structural relaxation, from Materials Project.

Spin magnetization, μB/f.u.: 0.00
Mass density, g cm⁻³: 2.96

Unit cell a=8.6674 b=8.6674 c=9.4987 alpha=120.61 beta=120.61 gamma=63.27
Atoms (fractional coordinates):
W1 0.0897 0.0897 0.2718
W2 0.9103 0.9103 0.7282
C1 0.0940 0.7313 0.6018
C2 0.2162 0.2162 0.2331
C3 0.2385 0.2385 0.5160
C4 0.2687 0.9060 0.3982
C5 0.7313 0.0940 0.6018
C6 0.7615 0.7615 0.4840
C7 0.7838 0.7838 0.7669
C8 0.9060 0.2687 0.3982
Br1 0.1107 0.1107 0.7805
Br2 0.2029 0.7971 0.0000
Br3 0.7971 0.2029 0.0000
Br4 0.8893 0.8893 0.2195
O1 0.1987 0.6313 0.5317
O2 0.2871 0.2871 0.2154
O3 0.3203 0.3203 0.6612
O4 0.3687 0.8013 0.4683
O5 0.6313 0.1987 0.5317
O6 0.6797 0.6797 0.3388
O7 0.7129 0.7129 0.7846
O8 0.8013 0.3687 0.4683


(3)
The following is a PBE with a Hubbard U calculation of W2C7Br4O7 after structural relaxation, from Materials Project.

Spin magnetization, μB/f.u.: 0.00
Mass density, g cm⁻³: 3.43

Unit cell a=20.8109 b=8.2774 c=9.9294 alpha=90.00 beta=90.00 gamma=90.00
Atoms (fractional coordinates):
W1 0.0956 0.2500 0.1506
W2 0.1455 0.2500 0.7840
W3 0.3545 0.7500 0.2840
W4 0.4044 0.7500 0.6506
W5 0.5956 0.2500 0.3494
W6 0.6455 0.2500 0.7160
W7 0.8545 0.7500 0.2160
W8 0.9044 0.7500 0.8494
C1 0.0013 0.2500 0.1992
C2 0.0814 0.0548 0.2698
C3 0.0814 0.4452 0.2698
C4 0.0816 0.2500 0.6262
C5 0.1592 0.0399 0.6738
C6 0.1592 0.4601 0.6738
C7 0.2428 0.2500 0.7395
C8 0.2572 0.7500 0.2395
C9 0.3408 0.5399 0.1738
C10 0.3408 0.9601 0.1738
C11 0.4184 0.7500 0.1262
C12 0.4186 0.5548 0.7698
C13 0.4186 0.9452 0.7698
C14 0.4987 0.7500 0.6992
C15 0.5013 0.2500 0.3008
C16 0.5814 0.0548 0.2302
C17 0.5814 0.4452 0.2302
C18 0.5816 0.2500 0.8738
C19 0.6592 0.0399 0.8262
C20 0.6592 0.4601 0.8262
C21 0.7428 0.2500 0.7605
C22 0.7572 0.7500 0.2605
C23 0.8408 0.5399 0.3262
C24 0.8408 0.9601 0.3262
C25 0.9184 0.7500 0.3738
C26 0.9186 0.5548 0.7302
C27 0.9186 0.9452 0.7302
C28 0.9987 0.7500 0.8008
Br1 0.0282 0.2500 0.9092
Br2 0.1628 0.0372 0.9883
Br3 0.1628 0.4628 0.9883
Br4 0.1976 0.2500 0.3177
Br5 0.3024 0.7500 0.8177
Br6 0.3372 0.5372 0.4883
Br7 0.3372 0.9628 0.4883
Br8 0.4718 0.7500 0.4092
Br9 0.5282 0.2500 0.5908
Br10 0.6628 0.0372 0.5117
Br11 0.6628 0.4628 0.5117
Br12 0.6976 0.2500 0.1823
Br13 0.8024 0.7500 0.6823
Br14 0.8372 0.5372 0.0117
Br15 0.8372 0.9628 0.0117
Br16 0.9718 0.7500 0.0908
O1 0.0445 0.2500 0.5398
O2 0.0524 0.7500 0.7666
O3 0.0739 0.5566 0.3393
O4 0.0739 0.9434 0.3393
O5 0.1686 0.5733 0.6095
O6 0.1686 0.9267 0.6095
O7 0.2026 0.7500 0.2190
O8 0.2974 0.2500 0.7190
O9 0.3314 0.0733 0.1095
O10 0.3314 0.4267 0.1095
O11 0.4261 0.0566 0.8393
O12 0.4261 0.4434 0.8393
O13 0.4476 0.2500 0.2666
O14 0.4555 0.7500 0.0398
O15 0.5445 0.2500 0.9602
O16 0.5524 0.7500 0.7334
O17 0.5739 0.5566 0.1607
O18 0.5739 0.9434 0.1607
O19 0.6686 0.5733 0.8905
O20 0.6686 0.9267 0.8905
O21 0.7026 0.7500 0.2810
O22 0.7974 0.2500 0.7810
O23 0.8314 0.0733 0.3905
O24 0.8314 0.4267 0.3905
O25 0.9261 0.0566 0.6607
O26 0.9261 0.4434 0.6607
O27 0.9476 0.2500 0.2334
O28 0.9555 0.7500 0.4602


(4)
The following is a PBE with a Hubbard U calculation of Ca3Fe2Br2O5 after structural relaxation, from Materials Project.

Spin magnetization, μB/f.u.: 0.00
Mass density, g cm⁻³: 3.89

Unit cell a=5.5379 b=5.5379 c=13.4312 alpha=90.00 beta=78.20 gamma=90.00
Atoms (fractional coordinates):
Ca1 0.5000 0.0000 0.0000
Ca2 0.0000 0.5000 0.0000
Ca3 0.1357 0.5000 0.7283
Ca4 0.6357 0.0000 0.7283
Ca5 0.3643 0.0000 0.2717
Ca6 0.8643 0.5000 0.2717
Fe1 0.4270 0.5000 0.1454
Fe2 0.0730 0.0000 0.8545
Fe3 0.9270 0.0000 0.1454
Fe4 0.5730 0.5000 0.8546
Br1 0.3125 0.5000 0.3790
Br2 0.8125 0.0000 0.3790
Br3 0.1875 0.0000 0.6211
Br4 0.6875 0.5000 0.6211
O1 0.5000 0.5000 0.0000
O2 0.0000 0.0000 0.0000
O3 0.6674 0.2498 0.1643
O4 0.1674 0.7498 0.1643
O5 0.8326 0.2502 0.8357
O6 0.3326 0.7502 0.8357
O7 0.1674 0.2502 0.1643
O8 0.6674 0.7502 0.1643
O9 0.3326 0.2498 0.8357
O10 0.8326 0.7498 0.8357


| no. | raw total energy (eV per atom) |
| --- | --- |
| 1 | -6.42 |
| 2 | -6.65 |
| 3 | -6.56 |
| 4 | -5.92 |